Computed, not measured: a relaxed structure of Ta2MoRu at the r²SCAN level of DFT.

Computed properties:
Its calculated formation energy is -0.407 eV/atom. The calculation puts the theoretical density at 14.346 g/cm³. The space group is Fm-3m. Its total magnetization is 0.0 μB per cell.

Cell: 4.506 4.506 4.506 Å, 60.00 60.00 60.00°
Atoms (fractional coordinates):
Ta1 0.000 0.000 0.000
Ta2 0.500 0.500 0.500
Mo1 0.250 0.250 0.250
Ru1 0.750 0.750 0.750